1.
First-principles (GGA+U) data for an optimized crystal structure of CoPH21N5O7, as listed in the Materials Project database.

Cell lengths 14.645, 8.659, 10.042 Å; angles 58.11, 90.00, 90.00 degrees
Sites, in units of the cell vectors:
O1 0.365 0.559 0.628
P1 0.374 0.362 0.772
H1 0.232 0.111 0.247
H2 0.645 0.371 0.972
O2 0.601 0.774 0.279
H3 0.958 0.680 0.414
H4 0.163 0.579 0.801
O3 0.279 0.307 0.862
H5 0.508 0.182 0.662
H6 0.249 0.549 0.057
N1 0.464 0.297 0.198
O4 0.721 0.693 0.138
H7 0.799 0.177 0.396
H8 0.201 0.823 0.604
Co1 0.842 0.694 0.225
P2 0.126 0.362 0.272
H9 0.663 0.982 0.729
H10 0.446 0.532 0.288
H11 0.749 0.451 0.443
H12 0.707 0.296 0.339
H13 0.898 0.865 0.945
H14 0.537 0.182 0.972
N2 0.884 0.525 0.161
H15 0.337 0.579 0.301
O5 0.057 0.850 0.887
H16 0.183 0.011 0.040
H17 0.463 0.818 0.028
H18 0.992 0.182 0.162
H19 0.946 0.468 0.212
Co2 0.658 0.694 0.725
O6 0.598 0.129 0.013
H20 0.554 0.468 0.712
N3 0.871 0.904 0.018
O7 0.557 0.150 0.613
H21 0.355 0.629 0.028
O8 0.635 0.441 0.372
H22 0.793 0.296 0.839
H23 0.802 0.813 0.404
H24 0.837 0.982 0.229
H25 0.993 0.828 0.234
P3 0.874 0.638 0.728
N4 0.616 0.525 0.661
O9 0.135 0.559 0.128
H26 0.007 0.172 0.766
H27 0.591 0.001 0.102
O10 0.098 0.871 0.487
H28 0.054 0.532 0.788
N5 0.317 0.514 0.062
H29 0.207 0.704 0.161
H30 0.492 0.818 0.338
O11 0.747 0.215 0.322
H31 0.302 0.187 0.096
H32 0.268 0.111 0.747
N6 0.371 0.096 0.482
H33 0.251 0.549 0.557
H34 0.542 0.680 0.914
O12 0.053 0.354 0.388
H35 0.918 0.267 0.025
O13 0.779 0.693 0.638
H36 0.602 0.865 0.445
H37 0.963 0.182 0.472
H38 0.110 0.414 0.958
N7 0.701 0.864 0.785
H39 0.582 0.267 0.525
H40 0.817 0.989 0.960
O14 0.902 0.129 0.513
H41 0.293 0.704 0.661
O15 0.447 0.354 0.888
H42 0.317 0.011 0.540
H43 0.328 0.477 0.981
H44 0.828 0.523 0.519
H45 0.163 0.018 0.771
O16 0.101 0.226 0.221
Co3 0.342 0.306 0.275
H46 0.890 0.586 0.042
H47 0.042 0.320 0.586
P4 0.626 0.638 0.228
H48 0.102 0.135 0.055
H49 0.037 0.818 0.528
H50 0.508 0.395 0.192
H51 0.610 0.586 0.542
H52 0.582 0.983 0.531
H53 0.398 0.135 0.555
H54 0.337 0.018 0.271
H55 0.992 0.395 0.692
H56 0.663 0.421 0.699
O17 0.943 0.150 0.113
H57 0.698 0.813 0.904
O18 0.247 0.785 0.178
H58 0.701 0.177 0.896
H59 0.390 0.414 0.458
H60 0.751 0.451 0.943
N8 0.799 0.864 0.285
N9 0.683 0.486 0.938
H61 0.672 0.523 0.019
N10 0.629 0.904 0.518
H62 0.732 0.889 0.253
N11 0.116 0.475 0.839
O19 0.399 0.226 0.721
N12 0.964 0.703 0.302
H63 0.507 0.828 0.734
H64 0.855 0.371 0.472
O20 0.402 0.871 0.987
H65 0.493 0.172 0.266
H66 0.837 0.421 0.199
O21 0.443 0.850 0.387
N13 0.201 0.136 0.715
H67 0.458 0.320 0.086
H68 0.909 0.001 0.602
H69 0.091 0.999 0.398
H70 0.409 0.999 0.898
O22 0.947 0.646 0.612
H71 0.082 0.733 0.975
H72 0.683 0.989 0.460
O23 0.899 0.774 0.779
H73 0.145 0.629 0.528
H74 0.008 0.605 0.308
O24 0.221 0.307 0.362
N14 0.183 0.514 0.562
H75 0.418 0.017 0.469
H76 0.172 0.477 0.481
Co4 0.158 0.306 0.775
N15 0.817 0.486 0.438
H77 0.198 0.187 0.596
H78 0.918 0.983 0.031
N16 0.129 0.096 0.982
H79 0.492 0.605 0.808
N17 0.299 0.136 0.215
H80 0.768 0.889 0.753
N18 0.536 0.703 0.802
O25 0.753 0.215 0.822
H81 0.299 0.823 0.104
H82 0.008 0.818 0.838
N19 0.036 0.297 0.698
O26 0.253 0.785 0.678
H83 0.082 0.017 0.969
O27 0.553 0.646 0.112
H84 0.418 0.733 0.475
O28 0.865 0.441 0.872
N20 0.384 0.475 0.339

- ΔH_f (0 K) (eV per atom) = -0.94
- SG = P2_1/c (14)


2.
First-principles (GGA+U) data for an optimized crystal structure of CoP2H15N5O8, as listed in the Materials Project database.

Cell lengths 7.467, 7.467, 13.007 Å; angles 78.01, 78.01, 79.98 degrees
Sites, in units of the cell vectors:
H1 0.881 0.890 0.175
O1 0.765 0.090 0.276
N1 0.432 0.911 0.654
N2 0.063 0.283 0.605
H2 0.309 0.203 0.848
H3 0.345 0.663 0.189
P1 0.691 0.666 0.916
H4 0.995 0.254 0.353
O2 0.432 0.198 0.278
Co1 0.018 0.570 0.238
H5 0.922 0.880 0.892
O3 0.034 0.923 0.834
O4 0.523 0.873 0.370
H6 0.480 0.906 0.574
H7 0.019 0.404 0.426
Co2 0.570 0.018 0.738
O5 0.548 0.550 0.479
P2 0.555 0.087 0.354
H8 0.880 0.922 0.392
O6 0.550 0.548 0.979
H9 0.317 0.559 0.094
N3 0.065 0.362 0.354
H10 0.663 0.345 0.689
H11 0.890 0.881 0.675
H12 0.781 0.935 0.570
N4 0.288 0.555 0.176
P3 0.666 0.691 0.416
H13 0.327 0.154 0.143
O7 0.923 0.034 0.334
O8 0.198 0.432 0.778
H14 0.559 0.317 0.594
N5 0.911 0.432 0.154
H15 0.318 0.844 0.684
H16 0.697 0.230 0.913
N6 0.362 0.065 0.854
N7 0.555 0.288 0.676
N8 0.804 0.982 0.635
H17 0.126 0.708 0.420
O9 0.763 0.794 0.971
H18 0.254 0.995 0.853
P4 0.087 0.555 0.854
O10 0.138 0.555 0.959
H19 0.935 0.781 0.070
H20 0.097 0.870 0.109
H21 0.906 0.480 0.074
O11 0.555 0.138 0.459
H22 0.870 0.097 0.609
N9 0.982 0.804 0.135
O12 0.638 0.780 0.808
H23 0.362 0.435 0.211
H24 0.154 0.327 0.643
O13 0.794 0.763 0.471
H25 0.844 0.318 0.184
H26 0.435 0.362 0.711
O14 0.090 0.765 0.776
O15 0.780 0.638 0.308
H27 0.708 0.126 0.920
H28 0.230 0.697 0.413
N10 0.283 0.063 0.105
O16 0.873 0.523 0.870
H29 0.404 0.019 0.926
H30 0.203 0.309 0.348

- ΔH_f (0 K) (eV per atom) = -0.69
- SG = Cc (9)


3.
First-principles (GGA+U) data for an optimized crystal structure of CoPH6NO5, as listed in the Materials Project database.

Cell lengths 7.428, 8.934, 7.438 Å; angles 90.01, 99.33, 89.99 degrees
Sites, in units of the cell vectors:
O1 0.760 0.118 0.981
O2 0.825 0.637 0.322
H1 0.666 0.544 0.166
O3 0.323 0.636 0.823
H2 0.148 0.412 0.497
O4 0.857 0.799 0.858
H3 0.648 0.412 0.997
H4 0.986 0.453 0.986
H5 0.486 0.547 0.986
P1 0.297 0.191 0.296
P2 0.296 0.808 0.797
O5 0.859 0.202 0.358
Co1 0.512 0.975 0.512
H6 0.367 0.187 0.729
N1 0.075 0.522 0.075
H7 0.666 0.457 0.666
O6 0.823 0.364 0.823
H8 0.986 0.548 0.486
N2 0.575 0.478 0.075
H9 0.366 0.815 0.227
O7 0.262 0.119 0.481
O8 0.140 0.838 0.639
N3 0.575 0.522 0.574
H10 0.497 0.588 0.648
O9 0.359 0.798 0.357
H11 0.497 0.412 0.148
O10 0.357 0.201 0.859
H12 0.166 0.543 0.666
P3 0.796 0.809 0.296
H13 0.648 0.588 0.497
H14 0.997 0.588 0.148
P4 0.796 0.192 0.797
Co2 0.011 0.975 0.012
O11 0.980 0.885 0.262
O12 0.139 0.162 0.141
H15 0.230 0.812 0.368
Co3 0.511 0.025 0.012
H16 0.997 0.412 0.648
H17 0.867 0.814 0.729
H18 0.866 0.185 0.227
O13 0.326 0.363 0.322
H19 0.487 0.453 0.486
O14 0.260 0.882 0.980
O15 0.479 0.115 0.261
H20 0.730 0.188 0.368
O16 0.640 0.162 0.640
N4 0.075 0.478 0.574
O17 0.481 0.882 0.763
Co4 0.012 0.026 0.512
H21 0.166 0.456 0.166
H22 0.226 0.185 0.865
O18 0.640 0.838 0.140
O19 0.981 0.118 0.762
H23 0.726 0.815 0.865
O20 0.761 0.881 0.481
H24 0.148 0.588 0.997

- E above lowest polymorph (kJ/mol of formula units) = 0
- ΔH_f (0 K) (eV per atom) = -1.44
- SG = P1 (1)


4.
First-principles (GGA+U) data for an optimized crystal structure of CoRe3H22N6O14, as listed in the Materials Project database.

Cell lengths 8.324, 8.324, 15.446 Å; angles 97.56, 97.56, 103.01 degrees
Sites, in units of the cell vectors:
O1 0.470 0.611 0.140
O2 0.895 0.967 0.659
H1 0.034 0.231 0.050
H2 0.655 0.800 0.560
N1 0.786 0.533 0.031
H3 0.488 0.733 0.145
H4 0.492 0.307 0.523
H5 0.409 0.440 0.318
O3 0.729 0.813 0.928
N2 0.095 0.560 0.128
H6 0.267 0.512 0.355
O4 0.387 0.918 0.134
O5 0.033 0.105 0.841
O6 0.756 0.996 0.278
H7 0.834 0.237 0.048
Re1 0.137 0.433 0.640
O7 0.918 0.387 0.634
Co1 0.500 0.000 0.500
H8 0.769 0.966 0.450
H9 0.069 0.669 0.155
Re2 0.958 0.042 0.250
N3 0.935 0.263 0.015
H10 0.763 0.166 0.452
H11 0.578 0.224 0.640
H12 0.953 0.531 0.837
H13 0.743 0.458 0.075
O8 0.232 0.443 0.749
O9 0.187 0.271 0.572
H14 0.693 0.508 0.977
H15 0.904 0.185 0.955
N4 0.533 0.786 0.531
N5 0.065 0.737 0.985
Co2 0.000 0.500 0.000
H16 0.047 0.469 0.163
N6 0.440 0.905 0.372
H17 0.815 0.096 0.545
H18 0.669 0.069 0.655
O10 0.389 0.530 0.360
N7 0.737 0.065 0.485
O11 0.996 0.756 0.778
H19 0.185 0.904 0.455
O12 0.813 0.729 0.428
H20 0.166 0.763 0.952
Re3 0.433 0.137 0.140
H21 0.591 0.560 0.682
O13 0.244 0.004 0.722
O14 0.557 0.768 0.751
O15 0.967 0.895 0.159
O16 0.378 0.792 0.898
H22 0.733 0.488 0.645
O17 0.613 0.082 0.866
Re4 0.042 0.958 0.750
H23 0.257 0.542 0.925
H24 0.307 0.492 0.023
O18 0.208 0.622 0.602
N8 0.560 0.095 0.628
H25 0.542 0.257 0.425
O19 0.082 0.613 0.366
H26 0.512 0.267 0.855
H27 0.200 0.345 0.940
O20 0.004 0.244 0.222
O21 0.530 0.389 0.860
H28 0.237 0.834 0.548
H29 0.966 0.769 0.950
O22 0.792 0.378 0.398
N9 0.905 0.440 0.872
O23 0.105 0.033 0.341
Re5 0.863 0.567 0.360
N10 0.214 0.467 0.969
H30 0.469 0.047 0.663
H31 0.440 0.409 0.818
O24 0.611 0.470 0.640
H32 0.231 0.034 0.550
H33 0.800 0.655 0.060
Re6 0.567 0.863 0.860
O25 0.443 0.232 0.249
O26 0.622 0.208 0.102
H34 0.096 0.815 0.045
N11 0.467 0.214 0.469
H35 0.331 0.931 0.345
H36 0.776 0.422 0.860
O27 0.271 0.187 0.072
N12 0.263 0.935 0.515
H37 0.560 0.591 0.182
H38 0.345 0.200 0.440
H39 0.531 0.953 0.337
O28 0.768 0.557 0.251
H40 0.422 0.776 0.360
H41 0.931 0.331 0.845
H42 0.224 0.578 0.140
H43 0.458 0.743 0.575
H44 0.508 0.693 0.477

- ΔH_f (0 K) (eV per atom) = -1.12
- SG = C2/c (15)